(1)
The following is a PBE calculation of a geometry-optimized Li2AgF5 structure, from the Materials Project database.

Lattice parameters (Å, degrees): 8.2316 5.2207 10.1711 90.00 111.49 90.00
Element x y z (fractional)
Li  0.1367  0.0307  0.3722
Li  0.1367  0.4693  0.8722
Li  0.3522  0.0079  0.6692
Li  0.3522  0.4921  0.1692
Li  0.6478  0.5079  0.8308
Li  0.6478  0.9921  0.3308
Li  0.8633  0.5307  0.1278
Li  0.8633  0.9693  0.6278
Ag  0.0000  0.0000  0.0000
Ag  0.0000  0.5000  0.5000
Ag  0.5000  0.0000  0.0000
Ag  0.5000  0.5000  0.5000
F  0.0411  0.6545  0.6902
F  0.0411  0.8455  0.1902
F  0.1237  0.1796  0.5771
F  0.1237  0.3204  0.0771
F  0.2677  0.7098  0.0108
F  0.2677  0.7902  0.5108
F  0.3291  0.2260  0.8644
F  0.3291  0.2740  0.3644
F  0.4900  0.7066  0.3303
F  0.4900  0.7934  0.8303
F  0.5100  0.2066  0.1697
F  0.5100  0.2934  0.6697
F  0.6709  0.7260  0.6356
F  0.6709  0.7740  0.1356
F  0.7323  0.2098  0.4892
F  0.7323  0.2902  0.9892
F  0.8763  0.6796  0.9229
F  0.8763  0.8204  0.4229
F  0.9589  0.1545  0.8098
F  0.9589  0.3455  0.3098

## Properties
The value obtained for the formation energy from the elements is -2.24 eV per atom. Its symmetry is P2_1/c, No. 14. For the total energy, the calculation gives -127.397 eV per cell. The calculated density comes out at 3.54 g cm⁻³. The energy above the lowest structure with this stoichiometry comes out at 0.0 kJ per mole of atoms.

(2)
The following is a PBE calculation of a geometry-optimized Eu2CdGa structure, from the Materials Project database.

Lattice parameters (Å, degrees): 5.4571 5.4571 5.4571 60.00 60.00 60.00
Element x y z (fractional)
Eu  0.2500  0.2500  0.2500
Eu  0.7500  0.7500  0.7500
Cd  0.0000  0.0000  0.0000
Ga  0.5000  0.5000  0.5000

## Properties
The value obtained for the formation energy from the elements is -0.41 eV per atom. Its symmetry is Fm-3m, No. 225. For the total energy, the calculation gives -26.094 eV per cell. The calculated density comes out at 7.02 g cm⁻³.

(3)
The following is a PBE calculation of a geometry-optimized NdInPd2 structure, from the Materials Project database.

Lattice parameters (Å, degrees): 4.9174 4.9174 4.9174 60.00 60.00 60.00
Element x y z (fractional)
Nd  0.0000  0.0000  0.0000
In  0.5000  0.5000  0.5000
Pd  0.2500  0.2500  0.2500
Pd  0.7500  0.7500  0.7500

## Properties
The value obtained for the formation energy from the elements is -0.73 eV per atom. Its symmetry is Fm-3m, No. 225. For the total energy, the calculation gives -20.786 eV per cell. The calculated density comes out at 9.32 g cm⁻³.

(4)
The following is a PBE calculation of a geometry-optimized Tm2Mg2O5 structure, from the Materials Project database.

Lattice parameters (Å, degrees): 3.8427 3.8427 7.1409 90.00 90.00 90.00
Element x y z (fractional)
Tm  0.0000  0.0000  0.0000
Tm  0.0000  0.0000  0.5000
Mg  0.5000  0.5000  0.2361
Mg  0.5000  0.5000  0.7639
O  0.0000  0.5000  0.1966
O  0.0000  0.5000  0.8034
O  0.5000  0.0000  0.1966
O  0.5000  0.0000  0.8034
O  0.5000  0.5000  0.5000

## Properties
The value obtained for the formation energy from the elements is -3.16 eV per atom. Its symmetry is P4/mmm, No. 123. For the total energy, the calculation gives -61.931 eV per cell. The calculated density comes out at 7.35 g cm⁻³.

(5)
The following is a PBE calculation of a geometry-optimized Ce5CuSe8 structure, from the Materials Project database.

Lattice parameters (Å, degrees): 7.6789 7.6789 7.6789 110.45 110.45 107.54
Element x y z (fractional)
Ce  0.0000  0.0000  0.0000
Ce  0.2561  0.1339  0.6233
Ce  0.3672  0.7439  0.8777
Ce  0.5106  0.6328  0.3767
Ce  0.8661  0.4894  0.1223
Cu  0.7500  0.2500  0.5000
Se  0.0981  0.3560  0.8707
Se  0.1464  0.3855  0.3993
Se  0.2529  0.8536  0.2391
Se  0.4853  0.2274  0.1293
Se  0.6145  0.0138  0.7609
Se  0.6440  0.5147  0.7421
Se  0.7726  0.9019  0.2579
Se  0.9862  0.7471  0.6007

## Properties
The value obtained for the formation energy from the elements is -1.85 eV per atom. Its symmetry is I-4, No. 82. For the total energy, the calculation gives -83.926 eV per cell. The calculated density comes out at 6.66 g cm⁻³.

(6)
The following is a PBE calculation of a geometry-optimized NaReO3 structure, from the Materials Project database.

Lattice parameters (Å, degrees): 3.8876 3.8876 3.8876 90.00 90.00 90.00
Element x y z (fractional)
Na  0.0000  0.0000  0.0000
Re  0.5000  0.5000  0.5000
O  0.0000  0.5000  0.5000
O  0.5000  0.0000  0.5000
O  0.5000  0.5000  0.0000

## Properties
The value obtained for the formation energy from the elements is -2.08 eV per atom. Its symmetry is Pm-3m, No. 221. For the total energy, the calculation gives -36.935 eV per cell. The calculated density comes out at 7.27 g cm⁻³.

(7)
The following is a PBE calculation of a geometry-optimized Ce3Cu structure, from the Materials Project database.

Lattice parameters (Å, degrees): 4.5861 4.5861 4.5861 90.00 90.00 90.00
Element x y z (fractional)
Ce  0.0000  0.0000  0.5000
Ce  0.0000  0.5000  0.0000
Ce  0.5000  0.0000  0.0000
Cu  0.5000  0.5000  0.5000

## Properties
The value obtained for the formation energy from the elements is 0.15 eV per atom. Its symmetry is Pm-3m, No. 221. For the total energy, the calculation gives -21.310 eV per cell. The calculated density comes out at 8.33 g cm⁻³.

(8)
The following is a PBE calculation of a geometry-optimized Cs2LiMoBr6 structure, from the Materials Project database.

Lattice parameters (Å, degrees): 7.7314 7.7314 7.7314 60.00 60.00 60.00
Element x y z (fractional)
Cs  0.2500  0.2500  0.2500
Cs  0.7500  0.7500  0.7500
Li  0.0000  0.0000  0.0000
Mo  0.5000  0.5000  0.5000
Br  0.2594  0.2594  0.7406
Br  0.2594  0.7406  0.2594
Br  0.2594  0.7406  0.7406
Br  0.7406  0.2594  0.2594
Br  0.7406  0.2594  0.7406
Br  0.7406  0.7406  0.2594

## Properties
The value obtained for the formation energy from the elements is -1.57 eV per atom. Its symmetry is Fm-3m, No. 225. For the total energy, the calculation gives -36.871 eV per cell. The calculated density comes out at 4.31 g cm⁻³.